A geometry-optimized Na6Nb2Zn4P6S3O36 structure. Source: the Materials Project database, functional GGA-PBE.

Summary:
Corrected total energy (MP2020 scheme) = -6.91 eV per atom
Space group = Cc (9)
ΔH_f (0 K) = -2.413 eV/atom
Total magnetization = 0.000 μB per formula unit

Cell lengths 8.886, 8.886, 22.422 Å; angles 90.25, 90.25, 60.26 degrees
Positions (direct):
Na1 0.003 0.997 0.500
Na2 0.325 0.703 0.908
Na3 0.334 0.339 0.667
Na4 0.339 0.334 0.167
Na5 0.348 0.999 0.746
Na6 0.645 0.673 0.328
Na7 0.673 0.645 0.828
Na8 0.692 0.955 0.906
Na9 0.703 0.325 0.408
Na10 0.955 0.692 0.406
Na11 0.997 0.003 0.000
Na12 0.999 0.348 0.246
Nb1 0.318 0.322 0.517
Nb2 0.322 0.318 0.017
Nb3 0.657 0.660 0.676
Nb4 0.660 0.657 0.176
Zn1 0.000 0.990 0.833
Zn2 0.324 0.336 0.306
Zn3 0.336 0.324 0.806
Zn4 0.656 0.661 0.982
Zn5 0.661 0.656 0.482
Zn6 0.983 0.987 0.140
Zn7 0.987 0.983 0.640
Zn8 0.990 0.000 0.333
P1 0.033 0.323 0.405
P2 0.285 0.695 0.741
P3 0.323 0.033 0.905
P4 0.361 0.665 0.071
P5 0.363 0.946 0.573
P6 0.665 0.361 0.571
P7 0.666 0.948 0.072
P8 0.695 0.285 0.241
P9 0.700 0.995 0.742
P10 0.946 0.363 0.073
P11 0.948 0.666 0.572
P12 0.995 0.700 0.242
S1 0.035 0.613 0.908
S2 0.288 0.990 0.241
S3 0.327 0.618 0.409
S4 0.613 0.035 0.408
S5 0.618 0.327 0.909
S6 0.990 0.288 0.741
O1 0.017 0.159 0.407
O2 0.018 0.180 0.688
O3 0.021 0.785 0.189
O4 0.023 0.787 0.908
O5 0.117 0.351 0.350
O6 0.117 0.512 0.855
O7 0.130 0.358 0.068
O8 0.132 0.489 0.568
O9 0.141 0.508 0.245
O10 0.144 0.311 0.747
O11 0.148 0.523 0.962
O12 0.154 0.310 0.462
O13 0.159 0.017 0.907
O14 0.164 0.786 0.406
O15 0.178 0.786 0.687
O16 0.180 0.018 0.188
O17 0.182 0.982 0.583
O18 0.184 0.817 0.082
O19 0.220 0.955 0.296
O20 0.229 0.805 0.800
O21 0.306 0.525 0.463
O22 0.310 0.154 0.962
O23 0.311 0.144 0.247
O24 0.312 0.512 0.748
O25 0.351 0.117 0.850
O26 0.354 0.489 0.067
O27 0.357 0.510 0.356
O28 0.358 0.130 0.568
O29 0.438 0.684 0.013
O30 0.449 0.842 0.518
O31 0.468 0.831 0.233
O32 0.475 0.678 0.731
O33 0.483 0.636 0.415
O34 0.483 0.863 0.630
O35 0.488 0.853 0.912
O36 0.489 0.132 0.068
O37 0.489 0.354 0.567
O38 0.489 0.632 0.126
O39 0.508 0.141 0.745
O40 0.510 0.357 0.856
O41 0.512 0.117 0.355
O42 0.512 0.312 0.248
O43 0.523 0.148 0.462
O44 0.525 0.306 0.963
O45 0.632 0.489 0.626
O46 0.634 0.855 0.126
O47 0.636 0.483 0.915
O48 0.636 0.858 0.414
O49 0.678 0.475 0.231
O50 0.681 0.822 0.732
O51 0.683 0.854 0.013
O52 0.684 0.438 0.513
O53 0.785 0.021 0.689
O54 0.786 0.164 0.906
O55 0.786 0.178 0.187
O56 0.787 0.023 0.408
O57 0.799 0.960 0.802
O58 0.805 0.229 0.300
O59 0.815 0.980 0.080
O60 0.817 0.184 0.582
O61 0.822 0.681 0.232
O62 0.831 0.468 0.733
O63 0.842 0.449 0.018
O64 0.853 0.488 0.412
O65 0.854 0.683 0.513
O66 0.855 0.634 0.626
O67 0.858 0.636 0.914
O68 0.863 0.483 0.130
O69 0.955 0.220 0.796
O70 0.960 0.799 0.302
O71 0.980 0.815 0.580
O72 0.982 0.182 0.083